! NbS2Br2 r2SCAN optimized geometry; values from VASP
&SYSTEM
  ibrav = 0, nat = 10, ntyp = 3
/
ATOMIC_SPECIES
Nb 92.91 Nb.upf
S 32.06 S.upf
Br 79.90 Br.upf
CELL_PARAMETERS angstrom
-0.0832 0.2677 6.6184
-0.8139 -5.8240 -3.0495
6.9888 0.9964 -1.1560
ATOMIC_POSITIONS angstrom
Nb -0.1750 -0.4983 5.4027
Nb -0.7220 -5.0580 -1.8339
S 1.9865 -0.4692 0.1455
S 4.1052 -4.0907 2.2673
S 5.4784 -2.9021 1.4145
S 0.6133 -1.6579 0.9983
Br 5.0266 -1.7595 -2.0408
Br 5.3251 0.7286 1.9080
Br 1.0651 -2.8004 4.4536
Br 0.7667 -5.2885 0.5048
! space group = C2/m
! energy = -144.4 eV per cell
! energy of formation from the pure elements = -0.9808 eV per atom